The following is a DFT calculation (PBE) of a geometry-optimized TeS3N2 structure.

Output
Distance to the lowest polymorph of the same formula   208 meV/atom
Symmetry   Pnma
M_tot   0.821 μB/f.u.
Volume   618.93 Å³ per cell

abc: 7.6383 11.5429 7.0199
angles: 90.00 90.00 90.00
With the nearest neighbours (Å) after each atom.
Positions (direct):
Te  0.1949  0.2500  0.1094  2 N 2.15
Te  0.3051  0.7500  0.6094  2 N 2.15
Te  0.6949  0.2500  0.3906  2 N 2.15
Te  0.8051  0.7500  0.8906  2 N 2.15
S  0.0094  0.5412  0.8814  1 S 1.92
S  0.0094  0.9588  0.8814  1 S 1.92
S  0.0415  0.7500  0.3572  2 N 1.57
S  0.4585  0.2500  0.8572  2 N 1.57
S  0.4906  0.0412  0.3814  1 S 1.92
S  0.4906  0.4588  0.3814  1 S 1.92
S  0.5094  0.5412  0.6186  1 S 1.92
S  0.5094  0.9588  0.6186  1 S 1.92
S  0.5415  0.7500  0.1428  2 N 1.57
S  0.9585  0.2500  0.6428  2 N 1.57
S  0.9906  0.0412  0.1186  1 S 1.92
S  0.9906  0.4588  0.1186  1 S 1.92
N  0.1371  0.6408  0.4419  1 S 1.57
N  0.1371  0.8592  0.4419  1 S 1.57
N  0.3629  0.1408  0.9419  1 S 1.57
N  0.3629  0.3592  0.9419  1 S 1.57
N  0.6371  0.6408  0.0581  1 S 1.57
N  0.6371  0.8592  0.0581  1 S 1.57
N  0.8629  0.1408  0.5581  1 S 1.57
N  0.8629  0.3592  0.5581  1 S 1.57